First-principles (r²SCAN) data for a geometry-optimized AlCu3 structure, as listed in the Materials Project database.

Results
Energy of formation from the pure elements ... -0.72 eV/f.u.
Symmetry ... No. 225
Total magnetization ... 0.000 μB per cell

Lattice parameters (Å, degrees): 4.0843 4.0843 4.0843 60.00 60.00 60.00
Atoms (fractional coordinates):
1 Cu 0.7500 0.7500 0.7500
2 Cu 0.5000 0.5000 0.5000
3 Cu 0.2500 0.2500 0.2500
4 Al 0.0000 0.0000 0.0000